# Mg32Al36Ag13 | the Materials Project database | PBE | optimized geometry
data_Mg32Al36Ag13
_cell_length_a 14.535
_cell_length_b 14.535
_cell_length_c 14.535
_cell_angle_alpha 90.00
_cell_angle_beta 90.00
_cell_angle_gamma 90.00
_symmetry_space_group_name_H-M 'I m -3'
_symmetry_Int_Tables_number 204
_symmetry_space_group_name_Hall '-I 2 2 3'
loop_
_atom_site_label
_atom_site_type_symbol
_atom_site_fract_x
_atom_site_fract_y
_atom_site_fract_z
Mg1 Mg 0.000 0.097 0.500
Mg2 Mg 0.000 0.303 0.500
Mg3 Mg 0.000 0.305 0.116
Mg4 Mg 0.188 0.188 0.188
Al1 Al 0.000 0.099 0.158
Al2 Al 0.096 0.340 0.310
Ag1 Ag 0.000 0.000 0.000
Ag2 Ag 0.000 0.176 0.315
# VASP energy, eV per cell: -457.841
# Spin magnetization, Bohr magnetons per cell: 0.1
# ΔH_f (0 K), eV per atom: -0.075
# ρ, kg/m3: 3408

=====

# Mg17Al11Ag | the Materials Project database | PBE | optimized geometry
data_Mg17Al11Ag
_cell_length_a 10.545
_cell_length_b 14.792
_cell_length_c 9.143
_cell_angle_alpha 90.00
_cell_angle_beta 125.20
_cell_angle_gamma 90.00
_symmetry_space_group_name_H-M 'C 1 m 1'
_symmetry_Int_Tables_number 8
_symmetry_space_group_name_Hall 'C -2y'
loop_
_atom_site_label
_atom_site_type_symbol
_atom_site_fract_x
_atom_site_fract_y
_atom_site_fract_z
Mg1 Mg 0.000 0.000 0.000
Mg2 Mg 0.002 0.000 0.657
Mg3 Mg 0.055 0.343 0.051
Mg4 Mg 0.156 0.500 0.311
Mg5 Mg 0.159 0.158 0.257
Mg6 Mg 0.174 0.172 0.656
Mg7 Mg 0.183 0.500 0.941
Mg8 Mg 0.302 0.301 0.972
Mg9 Mg 0.398 0.000 0.367
Mg10 Mg 0.459 0.142 0.656
Mg11 Mg 0.486 0.199 0.340
Al1 Al 0.004 0.183 0.842
Al2 Al 0.188 0.000 0.475
Al3 Al 0.224 0.409 0.655
Al4 Al 0.275 0.092 0.022
Al5 Al 0.318 0.317 0.471
Al6 Al 0.409 0.407 0.289
Ag1 Ag 0.369 0.000 0.834
# VASP energy, eV per cell: -144.605
# Spin magnetization, Bohr magnetons per cell: 0.0
# ΔH_f (0 K), eV per atom: -0.037
# ρ, kg/m3: 2331

=====

# Na8Al11Si13Ag3O48 | the Materials Project database | PBE | optimized geometry
data_Na8Al11Si13Ag3O48
_cell_length_a 12.067
_cell_length_b 12.399
_cell_length_c 12.772
_cell_angle_alpha 90.15
_cell_angle_beta 91.49
_cell_angle_gamma 90.04
_symmetry_space_group_name_H-M 'P 1'
_symmetry_Int_Tables_number 1
_symmetry_space_group_name_Hall 'P 1'
loop_
_atom_site_label
_atom_site_type_symbol
_atom_site_fract_x
_atom_site_fract_y
_atom_site_fract_z
Na1 Na 0.000 0.000 0.000
Na2 Na 0.003 0.021 0.578
Na3 Na 0.363 0.809 0.171
Na4 Na 0.624 0.000 0.999
Na5 Na 0.630 0.625 0.002
Na6 Na 0.804 0.199 0.217
Na7 Na 0.809 0.415 0.193
Na8 Na 0.995 0.622 0.004
Al1 Al 0.014 0.810 0.174
Al2 Al 0.173 0.806 0.961
Al3 Al 0.451 0.806 0.947
Al4 Al 0.603 0.812 0.405
Al5 Al 0.611 0.810 0.171
Al6 Al 0.804 0.621 0.411
Al7 Al 0.805 0.179 0.605
Al8 Al 0.808 0.441 0.965
Al9 Al 0.809 0.183 0.971
Al10 Al 0.813 0.631 0.172
Al11 Al 0.814 0.985 0.166
Si1 Si 0.170 0.816 0.616
Si2 Si 0.173 0.626 0.785
Si3 Si 0.174 0.994 0.793
Si4 Si 0.432 0.816 0.609
Si5 Si 0.439 0.997 0.788
Si6 Si 0.440 0.625 0.777
Si7 Si 0.619 0.438 0.778
Si8 Si 0.620 0.180 0.781
Si9 Si 0.803 0.436 0.606
Si10 Si 0.808 0.994 0.413
Si11 Si 0.994 0.182 0.791
Si12 Si 0.994 0.436 0.789
Si13 Si 0.996 0.811 0.417
Ag1 Ag 0.617 0.625 0.579
Ag2 Ag 0.618 0.997 0.582
Ag3 Ag 0.990 0.612 0.589
O1 O 0.032 0.310 0.792
O2 O 0.056 0.813 0.309
O3 O 0.092 0.823 0.513
O4 O 0.104 0.513 0.768
O5 O 0.109 0.109 0.784
O6 O 0.120 0.806 0.083
O7 O 0.128 0.687 0.887
O8 O 0.128 0.924 0.889
O9 O 0.141 0.704 0.680
O10 O 0.142 0.927 0.682
O11 O 0.299 0.816 0.585
O12 O 0.306 0.020 0.795
O13 O 0.306 0.600 0.781
O14 O 0.313 0.805 0.964
O15 O 0.461 0.926 0.680
O16 O 0.462 0.701 0.672
O17 O 0.493 0.688 0.876
O18 O 0.493 0.928 0.884
O19 O 0.502 0.113 0.779
O20 O 0.502 0.824 0.506
O21 O 0.504 0.509 0.763
O22 O 0.514 0.803 0.067
O23 O 0.533 0.816 0.286
O24 O 0.590 0.309 0.772
O25 O 0.683 0.696 0.436
O26 O 0.684 0.144 0.675
O27 O 0.687 0.926 0.148
O28 O 0.688 0.469 0.883
O29 O 0.689 0.695 0.158
O30 O 0.690 0.154 0.888
O31 O 0.691 0.470 0.673
O32 O 0.694 0.926 0.432
O33 O 0.797 0.313 0.567
O34 O 0.806 0.535 0.065
O35 O 0.807 0.096 0.077
O36 O 0.808 0.314 0.028
O37 O 0.815 0.523 0.514
O38 O 0.816 0.046 0.297
O39 O 0.816 0.556 0.292
O40 O 0.820 0.091 0.500
O41 O 0.914 0.457 0.684
O42 O 0.920 0.920 0.440
O43 O 0.925 0.154 0.683
O44 O 0.925 0.702 0.443
O45 O 0.930 0.152 0.897
O46 O 0.931 0.470 0.894
O47 O 0.938 0.693 0.153
O48 O 0.940 0.927 0.146
# VASP energy, eV per cell: -578.899
# ΔE to the lowest computed polymorph, kJ/mol of formula units: 0
# Spin magnetization, Bohr magnetons per cell: 0.0
# ΔH_f (0 K), eV per atom: -2.935
# ρ, kg/m3: 1684

=====

# Na8Al11Si13Ag3O48 | the Materials Project database | PBE | optimized geometry
data_Na8Al11Si13Ag3O48
_cell_length_a 12.313
_cell_length_b 12.404
_cell_length_c 12.641
_cell_angle_alpha 90.21
_cell_angle_beta 90.57
_cell_angle_gamma 90.13
_symmetry_space_group_name_H-M 'P 1'
_symmetry_Int_Tables_number 1
_symmetry_space_group_name_Hall 'P 1'
loop_
_atom_site_label
_atom_site_type_symbol
_atom_site_fract_x
_atom_site_fract_y
_atom_site_fract_z
Na1 Na 0.000 0.000 0.000
Na2 Na 0.001 0.414 0.570
Na3 Na 0.311 0.676 0.270
Na4 Na 0.576 0.413 0.568
Na5 Na 0.580 0.006 0.568
Na6 Na 0.582 0.994 0.999
Na7 Na 0.788 0.820 0.355
Na8 Na 0.793 0.597 0.345
Al1 Al 0.153 0.208 0.612
Al2 Al 0.420 0.208 0.609
Al3 Al 0.596 0.211 0.410
Al4 Al 0.784 0.030 0.415
Al5 Al 0.786 0.388 0.417
Al6 Al 0.787 0.578 0.967
Al7 Al 0.787 0.842 0.607
Al8 Al 0.788 0.582 0.605
Al9 Al 0.789 0.026 0.154
Al10 Al 0.975 0.208 0.152
Al11 Al 0.979 0.213 0.412
Si1 Si 0.158 0.024 0.789
Si2 Si 0.159 0.395 0.787
Si3 Si 0.162 0.210 0.964
Si4 Si 0.418 0.025 0.790
Si5 Si 0.418 0.395 0.787
Si6 Si 0.421 0.212 0.964
Si7 Si 0.600 0.580 0.787
Si8 Si 0.602 0.838 0.787
Si9 Si 0.603 0.209 0.153
Si10 Si 0.786 0.395 0.156
Si11 Si 0.788 0.838 0.965
Si12 Si 0.972 0.839 0.791
Si13 Si 0.976 0.581 0.789
Ag1 Ag 0.567 0.442 0.022
Ag2 Ag 0.731 0.295 0.829
Ag3 Ag 0.967 0.390 0.971
O1 O 0.008 0.710 0.795
O2 O 0.014 0.211 0.281
O3 O 0.084 0.913 0.806
O4 O 0.088 0.214 0.066
O5 O 0.088 0.226 0.496
O6 O 0.090 0.509 0.796
O7 O 0.119 0.331 0.684
O8 O 0.124 0.093 0.690
O9 O 0.134 0.096 0.901
O10 O 0.134 0.320 0.894
O11 O 0.287 0.213 0.589
O12 O 0.289 0.425 0.792
O13 O 0.289 0.991 0.796
O14 O 0.292 0.211 0.992
O15 O 0.448 0.324 0.898
O16 O 0.449 0.099 0.899
O17 O 0.455 0.089 0.687
O18 O 0.458 0.328 0.686
O19 O 0.485 0.510 0.793
O20 O 0.488 0.209 0.494
O21 O 0.492 0.913 0.805
O22 O 0.496 0.215 0.069
O23 O 0.565 0.212 0.272
O24 O 0.569 0.710 0.790
O25 O 0.663 0.872 0.681
O26 O 0.664 0.330 0.443
O27 O 0.665 0.546 0.896
O28 O 0.667 0.097 0.444
O29 O 0.667 0.548 0.682
O30 O 0.669 0.102 0.117
O31 O 0.674 0.322 0.124
O32 O 0.677 0.867 0.893
O33 O 0.774 0.915 0.493
O34 O 0.778 0.504 0.084
O35 O 0.779 0.914 0.067
O36 O 0.785 0.711 0.558
O37 O 0.785 0.978 0.283
O38 O 0.786 0.432 0.279
O39 O 0.787 0.508 0.489
O40 O 0.788 0.714 0.998
O41 O 0.894 0.326 0.121
O42 O 0.901 0.867 0.689
O43 O 0.902 0.868 0.901
O44 O 0.903 0.099 0.442
O45 O 0.904 0.094 0.113
O46 O 0.905 0.327 0.448
O47 O 0.906 0.547 0.894
O48 O 0.909 0.550 0.681
# VASP energy, eV per cell: -571.225
# ΔE to the lowest computed polymorph, kJ/mol of formula units: 740
# Spin magnetization, Bohr magnetons per cell: 2.3
# ΔH_f (0 K), eV per atom: -2.842
# ρ, kg/m3: 1666

=====

# Na7Al11Si13Ag4O48 | the Materials Project database | PBE | optimized geometry
data_Na7Al11Si13Ag4O48
_cell_length_a 12.206
_cell_length_b 12.381
_cell_length_c 12.459
_cell_angle_alpha 89.52
_cell_angle_beta 89.86
_cell_angle_gamma 88.26
_symmetry_space_group_name_H-M 'P 1'
_symmetry_Int_Tables_number 1
_symmetry_space_group_name_Hall 'P 1'
loop_
_atom_site_label
_atom_site_type_symbol
_atom_site_fract_x
_atom_site_fract_y
_atom_site_fract_z
Na1 Na 0.000 0.000 0.000
Na2 Na 0.011 0.988 0.757
Na3 Na 0.203 0.752 0.592
Na4 Na 0.224 0.755 0.154
Na5 Na 0.443 0.904 0.381
Na6 Na 0.611 0.114 0.385
Na7 Na 0.857 0.661 0.425
Al1 Al 0.002 0.906 0.204
Al2 Al 0.007 0.168 0.565
Al3 Al 0.008 0.715 0.010
Al4 Al 0.011 0.708 0.754
Al5 Al 0.199 0.913 0.378
Al6 Al 0.210 0.156 0.379
Al7 Al 0.358 0.685 0.387
Al8 Al 0.629 0.715 0.382
Al9 Al 0.802 0.908 0.384
Al10 Al 0.841 0.179 0.384
Al11 Al 0.988 0.897 0.555
Si1 Si 0.013 0.346 0.016
Si2 Si 0.015 0.168 0.202
Si3 Si 0.015 0.339 0.762
Si4 Si 0.194 0.522 0.016
Si5 Si 0.199 0.518 0.759
Si6 Si 0.378 0.528 0.197
Si7 Si 0.380 0.521 0.575
Si8 Si 0.391 0.348 0.384
Si9 Si 0.638 0.538 0.196
Si10 Si 0.643 0.533 0.568
Si11 Si 0.644 0.359 0.382
Si12 Si 0.822 0.525 0.011
Si13 Si 0.824 0.522 0.758
Ag1 Ag 0.083 0.727 0.361
Ag2 Ag 0.197 0.329 0.569
Ag3 Ag 0.786 0.759 0.632
Ag4 Ag 0.807 0.745 0.170
O1 O 0.002 0.834 0.084
O2 O 0.014 0.761 0.881
O3 O 0.016 0.821 0.672
O4 O 0.018 0.233 0.083
O5 O 0.019 0.311 0.890
O6 O 0.020 0.228 0.698
O7 O 0.103 0.868 0.475
O8 O 0.119 0.419 0.044
O9 O 0.126 0.410 0.732
O10 O 0.130 0.636 0.045
O11 O 0.131 0.174 0.262
O12 O 0.131 0.626 0.721
O13 O 0.134 0.184 0.498
O14 O 0.134 0.879 0.256
O15 O 0.229 0.519 0.887
O16 O 0.275 0.028 0.385
O17 O 0.293 0.808 0.395
O18 O 0.308 0.511 0.086
O19 O 0.313 0.503 0.688
O20 O 0.320 0.244 0.380
O21 O 0.320 0.630 0.261
O22 O 0.321 0.621 0.510
O23 O 0.365 0.412 0.500
O24 O 0.375 0.424 0.278
O25 O 0.492 0.712 0.387
O26 O 0.507 0.551 0.165
O27 O 0.511 0.539 0.599
O28 O 0.520 0.311 0.390
O29 O 0.658 0.433 0.274
O30 O 0.667 0.429 0.491
O31 O 0.673 0.847 0.375
O32 O 0.680 0.642 0.265
O33 O 0.683 0.641 0.502
O34 O 0.711 0.524 0.086
O35 O 0.715 0.519 0.679
O36 O 0.716 0.253 0.371
O37 O 0.783 0.524 0.884
O38 O 0.787 0.047 0.384
O39 O 0.868 0.844 0.497
O40 O 0.889 0.632 0.729
O41 O 0.889 0.634 0.037
O42 O 0.895 0.854 0.284
O43 O 0.899 0.228 0.498
O44 O 0.900 0.418 0.037
O45 O 0.907 0.419 0.738
O46 O 0.912 0.214 0.267
O47 O 0.986 0.031 0.594
O48 O 0.992 0.042 0.165
# VASP energy, eV per cell: -573.707
# Spin magnetization, Bohr magnetons per cell: 0.0
# ΔH_f (0 K), eV per atom: -2.854
# ρ, kg/m3: 1784

=====

# NdAlAg2 | the Materials Project database | PBE | optimized geometry
data_NdAlAg2
_cell_length_a 6.991
_cell_length_b 6.991
_cell_length_c 6.991
_cell_angle_alpha 90.00
_cell_angle_beta 90.00
_cell_angle_gamma 90.00
_symmetry_space_group_name_H-M 'F m -3 m'
_symmetry_Int_Tables_number 225
_symmetry_space_group_name_Hall '-F 4 2 3'
loop_
_atom_site_label
_atom_site_type_symbol
_atom_site_fract_x
_atom_site_fract_y
_atom_site_fract_z
Nd1 Nd 0.000 0.000 0.000
Al1 Al 0.000 0.000 0.500
Ag1 Ag 0.250 0.250 0.250
# VASP energy, eV per cell: -61.422
# Spin magnetization, Bohr magnetons per cell: 0.0
# ΔH_f (0 K), eV per atom: -0.294
# ρ, kg/m3: 7522